Entry from the Materials Project database: Li3Mn2FeB3O9 after structural relaxation (GGA+U).

Total magnetic moment in μB/f.u.: 14.00
E_form in eV per atom: -2.450
Offset from the most stable computed form in meV per atom: 2
SG: Cm

```
data_Li3Mn2FeB3O9
_chemical_formula_sum 'Li6 Mn4 Fe2 B6 O18'
_symmetry_space_group_name_H-M 'P 1'
_symmetry_Int_Tables_number 1
_cell_length_a 8.8474
_cell_length_b 8.8474
_cell_length_c 8.2725
_cell_angle_alpha 62.14
_cell_angle_beta 62.14
_cell_angle_gamma 42.05
loop_
_symmetry_equiv_pos_as_xyz
'x,y,z'
loop_
_atom_site_label
_atom_site_type_symbol
_atom_site_fract_x
_atom_site_fract_y
_atom_site_fract_z
Li1 Li 0.2409 0.7408 0.3018
Li2 Li 0.7408 0.2409 0.3018
Li3 Li 0.4015 0.8997 0.7157
Li4 Li 0.8997 0.4015 0.7157
Li5 Li 0.1080 0.6080 0.9824
Li6 Li 0.6080 0.1080 0.9824
Mn1 Mn 0.1799 0.1799 0.0122
Mn2 Mn 0.6799 0.6799 0.0121
Mn3 Mn 0.0064 0.0064 0.6281
Mn4 Mn 0.3142 0.3142 0.3593
Fe1 Fe 0.5040 0.5040 0.6324
Fe2 Fe 0.8159 0.8159 0.3600
B1 B 0.5837 0.0841 0.6658
B2 B 0.0841 0.5837 0.6658
B3 B 0.4189 0.9142 0.3349
B4 B 0.9142 0.4189 0.3349
B5 B 0.9989 0.9989 0.0004
B6 B 0.5010 0.5010 0.9975
O1 O 0.4608 0.4608 0.1911
O2 O 0.9580 0.9580 0.1951
O3 O 0.0373 0.5446 0.5577
O4 O 0.5446 0.0373 0.5577
O5 O 0.0958 0.0958 0.8872
O6 O 0.5977 0.5977 0.8838
O7 O 0.6765 0.1850 0.5803
O8 O 0.1850 0.6765 0.5803
O9 O 0.0299 0.5297 0.8592
O10 O 0.5297 0.0299 0.8592
O11 O 0.3754 0.8757 0.2227
O12 O 0.8757 0.3754 0.2227
O13 O 0.4443 0.4443 0.9162
O14 O 0.9419 0.9419 0.9211
O15 O 0.5158 0.0114 0.2528
O16 O 0.0114 0.5158 0.2528
O17 O 0.3631 0.8573 0.5283
O18 O 0.8573 0.3631 0.5283
```